No. 1
{"formula": "LaSe2", "functional": "PBE", "state": "relaxed", "cell": [[8.638, 0.000, 0.000], [0.000, 4.280, 0.000], [-0.032, 0.000, 8.563]], "species": ["La", "La", "La", "La", "Se", "Se", "Se", "Se", "Se", "Se", "Se", "Se"], "fractional_positions": [[0.224, 0.220, 0.372], [0.224, 0.280, 0.872], [0.776, 0.720, 0.128], [0.776, 0.780, 0.628], [0.135, 0.741, 0.125], [0.135, 0.759, 0.625], [0.498, 0.678, 0.383], [0.498, 0.822, 0.883], [0.502, 0.178, 0.117], [0.502, 0.322, 0.617], [0.865, 0.241, 0.375], [0.865, 0.259, 0.875]], "spacegroup": "No. 14", "formation_energy_ev_per_atom": -2.073, "energy_corrected_mp2020_ev_per_atom": -6.0489, "vol_a3_per_cell": 317, "dft_energy_ha_per_atom": -0.2107}

=====

No. 2
{"formula": "LaSe3", "functional": "PBE", "state": "relaxed", "cell": [[6.102, 0.000, 0.000], [-3.051, 5.284, 0.000], [0.000, 0.000, 6.052]], "species": ["La", "La", "Se", "Se", "Se", "Se", "Se", "Se"], "fractional_positions": [[0.333, 0.667, 0.250], [0.667, 0.333, 0.750], [0.174, 0.347, 0.750], [0.174, 0.826, 0.750], [0.347, 0.174, 0.250], [0.653, 0.826, 0.750], [0.826, 0.174, 0.250], [0.826, 0.653, 0.250]], "spacegroup": "No. 194", "formation_energy_ev_per_atom": -1.413, "energy_corrected_mp2020_ev_per_atom": -5.2686, "vol_a3_per_cell": 195, "dft_energy_ha_per_atom": -0.1806}

=====

No. 3
{"formula": "La2USe5", "functional": "PBE", "state": "relaxed", "cell": [[12.504, 0.000, 0.000], [0.000, 8.553, 0.000], [0.000, 0.000, 7.978]], "species": ["La", "La", "La", "La", "La", "La", "La", "La", "U", "U", "U", "U", "Se", "Se", "Se", "Se", "Se", "Se", "Se", "Se", "Se", "Se", "Se", "Se", "Se", "Se", "Se", "Se", "Se", "Se", "Se", "Se"], "fractional_positions": [[0.177, 0.000, 0.029], [0.177, 0.500, 0.029], [0.323, 0.000, 0.529], [0.323, 0.500, 0.529], [0.677, 0.000, 0.471], [0.677, 0.500, 0.471], [0.823, 0.000, 0.971], [0.823, 0.500, 0.971], [0.009, 0.250, 0.573], [0.491, 0.750, 0.073], [0.509, 0.250, 0.927], [0.991, 0.750, 0.427], [0.001, 0.250, 0.955], [0.091, 0.544, 0.665], [0.091, 0.956, 0.665], [0.187, 0.250, 0.335], [0.215, 0.750, 0.308], [0.285, 0.250, 0.808], [0.313, 0.750, 0.835], [0.409, 0.044, 0.165], [0.409, 0.456, 0.165], [0.499, 0.750, 0.455], [0.501, 0.250, 0.545], [0.591, 0.544, 0.835], [0.591, 0.956, 0.835], [0.687, 0.250, 0.165], [0.715, 0.750, 0.192], [0.785, 0.250, 0.692], [0.813, 0.750, 0.665], [0.909, 0.044, 0.335], [0.909, 0.456, 0.335], [0.999, 0.750, 0.045]], "spacegroup": "No. 62", "formation_energy_ev_per_atom": -2.029, "energy_corrected_mp2020_ev_per_atom": -6.8591, "vol_a3_per_cell": 853, "dft_energy_ha_per_atom": -0.2412}

=====

No. 4
{"formula": "La2USe4", "functional": "PBE", "state": "relaxed", "cell": [[-4.494, 4.494, 4.457], [4.494, -4.494, 4.457], [4.494, 4.494, -4.457]], "species": ["La", "La", "La", "La", "U", "U", "Se", "Se", "Se", "Se", "Se", "Se", "Se", "Se"], "fractional_positions": [[0.002, 0.125, 0.377], [0.375, 0.998, 0.123], [0.748, 0.625, 0.623], [0.875, 0.252, 0.877], [0.250, 0.750, 0.500], [0.500, 0.500, 0.000], [0.132, 0.031, 0.750], [0.132, 0.531, 0.750], [0.281, 0.382, 0.250], [0.469, 0.219, 0.601], [0.618, 0.868, 0.399], [0.618, 0.868, 0.899], [0.781, 0.382, 0.250], [0.969, 0.719, 0.101]], "spacegroup": "No. 122", "formation_energy_ev_per_atom": -1.957, "energy_corrected_mp2020_ev_per_atom": -6.9782, "vol_a3_per_cell": 360, "dft_energy_ha_per_atom": -0.2465}